An optimized crystal structure of Nd3Ho2Ga3O12. Source: the Materials Project database, functional GGA-PBE. Values from VASP.

Quantum ESPRESSO input file:
```
&SYSTEM
  ibrav = 0, nat = 80, ntyp = 4
/
ATOMIC_SPECIES
Nd 144.24 Nd.upf
Ho 164.93 Ho.upf
Ga 69.72 Ga.upf
O 16.00 O.upf
CELL_PARAMETERS angstrom
-6.538 6.538 6.538
6.538 -6.538 6.538
6.538 6.538 -6.538
ATOMIC_POSITIONS crystal
Nd 0.250 0.375 0.125
Nd 0.750 0.625 0.875
Nd 0.750 0.125 0.375
Nd 0.125 0.250 0.375
Nd 0.375 0.750 0.125
Nd 0.250 0.875 0.625
Nd 0.875 0.750 0.625
Nd 0.625 0.250 0.875
Nd 0.375 0.125 0.250
Nd 0.625 0.875 0.750
Nd 0.125 0.375 0.750
Nd 0.875 0.625 0.250
Ho 0.000 0.000 0.000
Ho 0.500 0.000 0.500
Ho 0.000 0.500 0.500
Ho 0.500 0.000 0.000
Ho 0.500 0.500 0.000
Ho 0.500 0.500 0.500
Ho 0.000 0.000 0.500
Ho 0.000 0.500 0.000
Ga 0.250 0.625 0.375
Ga 0.750 0.375 0.625
Ga 0.750 0.875 0.125
Ga 0.375 0.250 0.625
Ga 0.625 0.750 0.375
Ga 0.250 0.125 0.875
Ga 0.125 0.750 0.875
Ga 0.875 0.250 0.125
Ga 0.625 0.375 0.250
Ga 0.375 0.625 0.750
Ga 0.875 0.125 0.750
Ga 0.125 0.875 0.250
O 0.472 0.372 0.283
O 0.528 0.628 0.717
O 0.589 0.188 0.217
O 0.911 0.128 0.600
O 0.283 0.472 0.372
O 0.312 0.911 0.283
O 0.411 0.812 0.783
O 0.089 0.872 0.400
O 0.717 0.528 0.628
O 0.688 0.089 0.717
O 0.028 0.312 0.900
O 0.217 0.589 0.188
O 0.128 0.028 0.217
O 0.972 0.688 0.100
O 0.783 0.411 0.812
O 0.872 0.972 0.783
O 0.600 0.911 0.128
O 0.188 0.472 0.600
O 0.400 0.089 0.872
O 0.812 0.528 0.400
O 0.900 0.028 0.312
O 0.372 0.589 0.900
O 0.100 0.972 0.688
O 0.628 0.411 0.100
O 0.372 0.283 0.472
O 0.589 0.900 0.372
O 0.628 0.717 0.528
O 0.411 0.100 0.628
O 0.128 0.600 0.911
O 0.028 0.217 0.128
O 0.872 0.400 0.089
O 0.972 0.783 0.872
O 0.312 0.900 0.028
O 0.911 0.283 0.312
O 0.688 0.100 0.972
O 0.089 0.717 0.688
O 0.188 0.217 0.589
O 0.472 0.600 0.188
O 0.812 0.783 0.411
O 0.528 0.400 0.812
O 0.283 0.312 0.911
O 0.717 0.688 0.089
O 0.217 0.128 0.028
O 0.783 0.872 0.972
O 0.900 0.372 0.589
O 0.100 0.628 0.411
O 0.600 0.188 0.472
O 0.400 0.812 0.528
```

Summary:
symmetry = No. 230

***

An optimized crystal structure of Ho3GaNi. Source: the Materials Project database, functional GGA-PBE. Values from VASP.

Quantum ESPRESSO input file:
```
&SYSTEM
  ibrav = 0, nat = 70, ntyp = 3
/
ATOMIC_SPECIES
Ho 164.93 Ho.upf
Ga 69.72 Ga.upf
Ni 58.69 Ni.upf
CELL_PARAMETERS angstrom
-5.733 5.733 12.255
5.733 -5.733 12.255
5.733 5.733 -12.255
ATOMIC_POSITIONS crystal
Ho 0.622 0.506 0.282
Ho 0.224 0.340 0.718
Ho 0.122 0.840 0.116
Ho 0.724 0.006 0.884
Ho 0.340 0.622 0.116
Ho 0.506 0.224 0.884
Ho 0.006 0.122 0.282
Ho 0.840 0.724 0.718
Ho 0.378 0.494 0.718
Ho 0.776 0.660 0.282
Ho 0.878 0.160 0.884
Ho 0.276 0.994 0.116
Ho 0.660 0.378 0.884
Ho 0.494 0.776 0.116
Ho 0.994 0.878 0.718
Ho 0.160 0.276 0.282
Ho 0.385 0.515 0.288
Ho 0.228 0.097 0.712
Ho 0.885 0.597 0.869
Ho 0.728 0.015 0.131
Ho 0.097 0.385 0.869
Ho 0.515 0.228 0.131
Ho 0.015 0.885 0.288
Ho 0.597 0.728 0.712
Ho 0.615 0.485 0.712
Ho 0.772 0.903 0.288
Ho 0.115 0.403 0.131
Ho 0.272 0.985 0.869
Ho 0.903 0.615 0.131
Ho 0.485 0.772 0.869
Ho 0.985 0.115 0.712
Ho 0.403 0.272 0.288
Ho 0.151 0.651 0.802
Ho 0.849 0.349 0.198
Ho 0.651 0.849 0.500
Ho 0.349 0.151 0.500
Ho 0.391 0.891 0.500
Ho 0.891 0.391 0.500
Ho 0.609 0.109 0.500
Ho 0.109 0.609 0.500
Ho 0.250 0.750 0.500
Ho 0.750 0.250 0.500
Ga 0.471 0.971 0.818
Ga 0.153 0.653 0.182
Ga 0.971 0.153 0.500
Ga 0.653 0.471 0.500
Ga 0.529 0.029 0.182
Ga 0.847 0.347 0.818
Ga 0.029 0.847 0.500
Ga 0.347 0.529 0.500
Ga 0.605 0.105 0.710
Ga 0.395 0.895 0.290
Ga 0.105 0.395 0.500
Ga 0.895 0.605 0.500
Ga 0.500 0.500 0.000
Ga 0.000 0.000 0.000
Ni 0.070 0.570 0.858
Ni 0.713 0.213 0.142
Ni 0.570 0.713 0.500
Ni 0.213 0.070 0.500
Ni 0.930 0.430 0.142
Ni 0.287 0.787 0.858
Ni 0.430 0.287 0.500
Ni 0.787 0.930 0.500
Ni 0.360 0.360 0.000
Ni 0.860 0.860 0.000
Ni 0.640 0.640 0.000
Ni 0.140 0.140 0.000
Ni 0.250 0.250 0.000
Ni 0.750 0.750 0.000
```

Summary:
symmetry = No. 140

***

An optimized crystal structure of Ho3Ga2Ni6. Source: the Materials Project database, functional GGA-PBE. Values from VASP.

Quantum ESPRESSO input file:
```
&SYSTEM
  ibrav = 0, nat = 22, ntyp = 3
/
ATOMIC_SPECIES
Ho 164.93 Ho.upf
Ga 69.72 Ga.upf
Ni 58.69 Ni.upf
CELL_PARAMETERS angstrom
3.778 2.497 6.194
-3.112 5.972 -3.677
-5.544 -4.842 2.165
ATOMIC_POSITIONS crystal
Ho 0.710 0.710 0.000
Ho 0.290 0.000 0.290
Ho 0.000 0.290 0.290
Ho 0.290 0.290 0.000
Ho 0.710 0.000 0.710
Ho 0.000 0.710 0.710
Ga 0.000 0.000 0.500
Ga 0.000 0.500 0.000
Ga 0.500 0.000 0.000
Ga 0.500 0.500 0.500
Ni 0.339 0.339 0.678
Ni 0.661 0.000 0.339
Ni 0.000 0.661 0.339
Ni 0.661 0.339 0.000
Ni 0.339 0.678 0.339
Ni 0.000 0.339 0.661
Ni 0.339 0.661 0.000
Ni 0.339 0.000 0.661
Ni 0.678 0.339 0.339
Ni 0.661 0.661 0.322
Ni 0.661 0.322 0.661
Ni 0.322 0.661 0.661
```

Summary:
symmetry = No. 229

***

An optimized crystal structure of Ho2GaNi2. Source: the Materials Project database, functional GGA-PBE. Values from VASP.

Quantum ESPRESSO input file:
```
&SYSTEM
  ibrav = 0, nat = 5, ntyp = 3
/
ATOMIC_SPECIES
Ho 164.93 Ho.upf
Ga 69.72 Ga.upf
Ni 58.69 Ni.upf
CELL_PARAMETERS angstrom
-4.197 0.000 0.000
-2.099 -2.667 4.105
-2.099 2.667 4.105
ATOMIC_POSITIONS crystal
Ho 0.202 0.298 0.298
Ho 0.798 0.702 0.702
Ga 0.000 0.000 0.000
Ni 0.500 0.268 0.732
Ni 0.500 0.732 0.268
```

Summary:
symmetry = No. 71

***

An optimized crystal structure of Ho4Ga21Ni10. Source: the Materials Project database, functional GGA-PBE. Values from VASP.

Quantum ESPRESSO input file:
```
&SYSTEM
  ibrav = 0, nat = 35, ntyp = 3
/
ATOMIC_SPECIES
Ho 164.93 Ho.upf
Ga 69.72 Ga.upf
Ni 58.69 Ni.upf
CELL_PARAMETERS angstrom
2.034 10.455 0.000
-2.034 10.455 0.000
0.000 8.824 12.663
ATOMIC_POSITIONS crystal
Ho 0.232 0.232 0.677
Ho 0.882 0.882 0.833
Ho 0.118 0.118 0.167
Ho 0.768 0.768 0.323
Ga 0.883 0.883 0.052
Ga 0.995 0.995 0.591
Ga 0.384 0.384 0.204
Ga 0.703 0.703 0.998
Ga 0.798 0.798 0.504
Ga 0.377 0.377 0.694
Ga 0.616 0.616 0.796
Ga 0.399 0.399 0.496
Ga 0.623 0.623 0.306
Ga 0.754 0.754 0.795
Ga 0.005 0.005 0.409
Ga 0.933 0.933 0.296
Ga 0.202 0.202 0.496
Ga 0.067 0.067 0.704
Ga 0.500 0.500 0.000
Ga 0.540 0.540 0.129
Ga 0.117 0.117 0.948
Ga 0.297 0.297 0.002
Ga 0.460 0.460 0.871
Ga 0.601 0.601 0.504
Ga 0.246 0.246 0.205
Ni 0.499 0.499 0.688
Ni 0.025 0.025 0.893
Ni 0.975 0.975 0.107
Ni 0.345 0.345 0.389
Ni 0.870 0.870 0.603
Ni 0.250 0.250 0.886
Ni 0.750 0.750 0.114
Ni 0.130 0.130 0.397
Ni 0.655 0.655 0.611
Ni 0.501 0.501 0.312
```

Summary:
symmetry = No. 12

***

An optimized crystal structure of Ho6GaNi2. Source: the Materials Project database, functional GGA-PBE. Values from VASP.

Quantum ESPRESSO input file:
```
&SYSTEM
  ibrav = 0, nat = 18, ntyp = 3
/
ATOMIC_SPECIES
Ho 164.93 Ho.upf
Ga 69.72 Ga.upf
Ni 58.69 Ni.upf
CELL_PARAMETERS angstrom
-1.643 -2.689 7.610
-7.238 0.439 -3.907
5.289 -5.162 -3.636
ATOMIC_POSITIONS crystal
Ho 0.432 0.236 0.196
Ho 0.568 0.764 0.804
Ho 0.040 0.236 0.804
Ho 0.960 0.764 0.196
Ho 0.181 0.284 0.465
Ho 0.819 0.716 0.535
Ho 0.181 0.716 0.896
Ho 0.819 0.284 0.104
Ho 0.324 0.629 0.305
Ho 0.676 0.371 0.695
Ho 0.324 0.019 0.695
Ho 0.676 0.981 0.305
Ga 0.500 0.500 0.000
Ga 0.000 0.000 0.000
Ni 0.354 0.000 0.354
Ni 0.646 0.000 0.646
Ni 0.123 0.623 0.500
Ni 0.877 0.377 0.500
```

Summary:
symmetry = No. 71

***

An optimized crystal structure of Ho4Ga12Ni. Source: the Materials Project database, functional GGA-PBE. Values from VASP.

Quantum ESPRESSO input file:
```
&SYSTEM
  ibrav = 0, nat = 17, ntyp = 3
/
ATOMIC_SPECIES
Ho 164.93 Ho.upf
Ga 69.72 Ga.upf
Ni 58.69 Ni.upf
CELL_PARAMETERS angstrom
-1.814 -6.289 -3.498
5.219 -1.414 5.084
-6.010 2.797 3.337
ATOMIC_POSITIONS crystal
Ho 0.000 0.000 0.500
Ho 0.000 0.500 0.000
Ho 0.500 0.000 0.000
Ho 0.500 0.500 0.500
Ga 0.750 0.250 0.500
Ga 0.750 0.500 0.250
Ga 0.500 0.250 0.750
Ga 0.250 0.500 0.750
Ga 0.250 0.750 0.500
Ga 0.500 0.750 0.250
Ga 0.710 0.710 0.000
Ga 0.290 0.000 0.290
Ga 0.000 0.290 0.290
Ga 0.290 0.290 0.000
Ga 0.710 0.000 0.710
Ga 0.000 0.710 0.710
Ni 0.000 0.000 0.000
```

Summary:
symmetry = No. 229

***

An optimized crystal structure of HoGaNi. Source: the Materials Project database, functional GGA-PBE. Values from VASP.

Quantum ESPRESSO input file:
```
&SYSTEM
  ibrav = 0, nat = 12, ntyp = 3
/
ATOMIC_SPECIES
Ho 164.93 Ho.upf
Ga 69.72 Ga.upf
Ni 58.69 Ni.upf
CELL_PARAMETERS angstrom
-3.622 -2.161 -0.709
3.126 -5.791 1.682
-1.957 0.980 7.012
ATOMIC_POSITIONS crystal
Ho 0.250 0.519 0.694
Ho 0.250 0.019 0.806
Ho 0.750 0.981 0.194
Ho 0.750 0.481 0.306
Ga 0.750 0.327 0.924
Ga 0.250 0.173 0.424
Ga 0.750 0.827 0.576
Ga 0.250 0.673 0.076
Ni 0.250 0.286 0.098
Ni 0.250 0.786 0.402
Ni 0.750 0.714 0.902
Ni 0.750 0.214 0.598
```

Summary:
symmetry = No. 62

***

Number 1: energy relative to the elements -3.340 eV/atom. Number 2: energy relative to the elements -0.447 eV/atom. Number 3: energy relative to the elements -0.565 eV/atom. Number 4: energy relative to the elements -0.586 eV/atom. Number 5: energy relative to the elements -0.506 eV/atom. Number 6: energy relative to the elements -0.368 eV/atom. Number 7: energy relative to the elements -0.562 eV/atom. Number 8: energy relative to the elements -0.649 eV/atom.